# 1
# Ba3UO6 PBE optimized geometry
data_Ba3UO6
_symmetry_space_group_name_H-M 'F m -3 m'
_symmetry_Int_Tables_number 225
_symmetry_space_group_name_Hall '-F 4 2 3'
_cell_length_a 9.2554
_cell_length_b 9.2554
_cell_length_c 9.2554
_cell_angle_alpha 90.00
_cell_angle_beta 90.00
_cell_angle_gamma 90.00
loop_
_atom_site_label
_atom_site_type_symbol
_atom_site_fract_x
_atom_site_fract_y
_atom_site_fract_z
Ba1 Ba 0.0000 0.0000 0.0000
Ba2 Ba 0.2500 0.2500 0.2500
U1 U 0.0000 0.0000 0.5000
O1 O 0.0000 0.0000 0.2745
# - formation energy (eV per atom) = -3.307
# - magnetization (μB/atom) = 0.000

---

# 2
# Si2H2O3 PBE optimized geometry
data_Si2H2O3
_symmetry_space_group_name_H-M 'P 1'
_symmetry_Int_Tables_number 1
_cell_length_a 8.4373
_cell_length_b 9.5688
_cell_length_c 13.4007
_cell_angle_alpha 88.85
_cell_angle_beta 71.66
_cell_angle_gamma 63.86
loop_
_symmetry_equiv_pos_as_xyz
'x,y,z'
loop_
_atom_site_label
_atom_site_type_symbol
_atom_site_fract_x
_atom_site_fract_y
_atom_site_fract_z
Si1 Si 0.0000 0.0000 0.0000
Si2 Si 0.0028 0.2444 0.5312
Si3 Si 0.0794 0.7580 0.3840
Si4 Si 0.1292 0.2583 0.8842
Si5 Si 0.1419 0.7246 0.7474
Si6 Si 0.2154 0.0195 0.2776
Si7 Si 0.2222 0.6301 0.0498
Si8 Si 0.3512 0.4999 0.4998
Si9 Si 0.3606 0.3377 0.1869
Si10 Si 0.4482 0.1307 0.5500
Si11 Si 0.4652 0.8383 0.6871
Si12 Si 0.5446 0.3701 0.8005
Si13 Si 0.5717 0.7446 0.0316
Si14 Si 0.6250 0.0547 0.9584
Si15 Si 0.6361 0.8701 0.3004
Si16 Si 0.7129 0.5550 0.4585
Si17 Si 0.7369 0.2246 0.2475
Si18 Si 0.8252 0.5334 0.1295
Si19 Si 0.8380 0.5200 0.7780
Si20 Si 0.8630 0.0330 0.6288
H1 H 0.0550 0.0686 0.1544
H2 H 0.0733 0.5683 0.6543
H3 H 0.1349 0.3336 0.0505
H4 H 0.2208 0.5862 0.8795
H5 H 0.2418 0.3334 0.4982
H6 H 0.2540 0.9924 0.5855
H7 H 0.2770 0.8333 0.9983
H8 H 0.3577 0.1074 0.1164
H9 H 0.3746 0.7155 0.4134
H10 H 0.4989 0.8277 0.4777
H11 H 0.5186 0.4924 0.0857
H12 H 0.5468 0.3273 0.9778
H13 H 0.6635 0.0871 0.3797
H14 H 0.7016 0.7879 0.8656
H15 H 0.7689 0.6079 0.6167
H16 H 0.7960 0.4335 0.2927
H17 H 0.8290 0.9335 0.7923
H18 H 0.8323 0.8324 0.5502
H19 H 0.8477 0.2152 0.9133
H20 H 0.9983 0.2878 0.3646
O1 O 0.0249 0.3721 0.0276
O2 O 0.0616 0.0582 0.5701
O3 O 0.0647 0.1864 0.3890
O4 O 0.1309 0.8950 0.3277
O5 O 0.1777 0.6012 0.6313
O6 O 0.2266 0.2342 0.5201
O7 O 0.2920 0.6634 0.4242
O8 O 0.3082 0.5269 0.9199
O9 O 0.3127 0.7719 0.6901
O10 O 0.3696 0.7340 0.0200
O11 O 0.3872 0.9680 0.5855
O12 O 0.4100 0.4677 0.0855
O13 O 0.4136 0.9561 0.3057
O14 O 0.4193 0.1707 0.0756
O15 O 0.5377 0.5074 0.5098
O16 O 0.5762 0.2720 0.1900
O17 O 0.5773 0.7445 0.4146
O18 O 0.5951 0.0277 0.4201
O19 O 0.6149 0.2442 0.9146
O20 O 0.6599 0.5586 0.0709
O21 O 0.6749 0.4567 0.8064
O22 O 0.6854 0.6712 0.5756
O23 O 0.7111 0.6864 0.8896
O24 O 0.7785 0.3999 0.2272
O25 O 0.7963 0.0072 0.0099
O26 O 0.9264 0.8714 0.5272
O27 O 0.9407 0.1014 0.1314
O28 O 0.9457 0.8997 0.7268
O29 O 0.9715 0.1633 0.9242
O30 O 0.9974 0.3949 0.8277
# - formation energy (eV per atom) = -1.493
# - offset from the most stable computed form (meV/atom) = 584
# - magnetization (μB/atom) = 0.000

---

# 3
# ThPb PBE optimized geometry
data_ThPb
_symmetry_space_group_name_H-M 'P 4/m m m'
_symmetry_Int_Tables_number 123
_symmetry_space_group_name_Hall '-P 4 2'
_cell_length_a 3.6423
_cell_length_b 3.6423
_cell_length_c 4.5751
_cell_angle_alpha 90.00
_cell_angle_beta 90.00
_cell_angle_gamma 90.00
loop_
_atom_site_label
_atom_site_type_symbol
_atom_site_fract_x
_atom_site_fract_y
_atom_site_fract_z
Th1 Th 0.0000 0.0000 0.0000
Pb1 Pb 0.5000 0.5000 0.5000
# - formation energy (eV per atom) = -0.282

---

# 4
# Pr7In6Ni5Ge3 PBE optimized geometry
data_Pr7In6Ni5Ge3
_symmetry_space_group_name_H-M 'P -6'
_symmetry_Int_Tables_number 174
_cell_length_a 11.4692
_cell_length_b 11.4692
_cell_length_c 4.1978
_cell_angle_alpha 90.00
_cell_angle_beta 90.00
_cell_angle_gamma 120.00
loop_
_symmetry_equiv_pos_as_xyz
'x,y,z'
'-x+y,-x,-z'
'-y,x-y,z'
'x,y,-z'
'-x+y,-x,z'
'-y,x-y,-z'
loop_
_atom_site_label
_atom_site_type_symbol
_atom_site_fract_x
_atom_site_fract_y
_atom_site_fract_z
Pr1 Pr 0.0000 0.0000 0.0000
Pr2 Pr 0.0753 0.6961 0.0000
Pr3 Pr 0.3789 0.0833 0.0000
In1 In 0.1639 0.5198 0.5000
In2 In 0.5141 0.3481 0.5000
Ni1 Ni 0.2466 0.1634 0.5000
Ni2 Ni 0.3333 0.6667 0.0000
Ni3 Ni 0.6667 0.3333 0.0000
Ge1 Ge 0.0784 0.2318 0.5000
# - formation energy (eV per atom) = -0.586
# - magnetization (μB/atom) = 0.007

---

# 5
# B8PH24PtC7 PBE optimized geometry
data_B8PH24PtC7
_symmetry_space_group_name_H-M 'P 1 21/c 1'
_symmetry_Int_Tables_number 14
_cell_length_a 14.3130
_cell_length_b 15.5565
_cell_length_c 15.5869
_cell_angle_alpha 90.00
_cell_angle_beta 94.27
_cell_angle_gamma 90.00
loop_
_symmetry_equiv_pos_as_xyz
'x,y,z'
'-x,-y,-z'
'-x,y+1/2,-z+1/2'
'x,-y+1/2,z+1/2'
loop_
_atom_site_label
_atom_site_type_symbol
_atom_site_fract_x
_atom_site_fract_y
_atom_site_fract_z
B1 B 0.1363 0.0516 0.0643
B2 B 0.1376 0.0576 0.4197
B3 B 0.1509 0.5671 0.5623
B4 B 0.1611 0.1714 0.4289
B5 B 0.1620 0.1245 0.3243
B6 B 0.1830 0.5074 0.6574
B7 B 0.2274 0.0923 0.4974
B8 B 0.2377 0.0636 0.9988
B9 B 0.2478 0.0873 0.1115
B10 B 0.2558 0.5533 0.4971
B11 B 0.2609 0.0108 0.4221
B12 B 0.2613 0.1871 0.3629
B13 B 0.2705 0.5833 0.6098
B14 B 0.2859 0.0799 0.3258
B15 B 0.3310 0.1091 0.4315
B16 B 0.3319 0.0132 0.0639
P1 P 0.1163 0.6540 0.8320
P2 P 0.4667 0.5685 0.7531
H1 H 0.0245 0.1241 0.6002
H2 H 0.0271 0.2280 0.6461
H3 H 0.0434 0.6590 0.2864
H4 H 0.0553 0.1561 0.7964
H5 H 0.0639 0.0564 0.7417
H6 H 0.0652 0.0920 0.0626
H7 H 0.0651 0.6725 0.0268
H8 H 0.0666 0.0342 0.4487
H9 H 0.0928 0.6223 0.5600
H10 H 0.1004 0.7154 0.6920
H11 H 0.1038 0.2220 0.4486
H12 H 0.1093 0.5104 0.4228
H13 H 0.1088 0.5133 0.7032
H14 H 0.1101 0.1548 0.2685
H15 H 0.1251 0.6315 0.2117
H16 H 0.1412 0.7281 0.4292
H17 H 0.1454 0.1406 0.7264
H18 H 0.1549 0.5950 0.0185
H19 H 0.1627 0.6415 0.3222
H20 H 0.1807 0.6955 0.0695
H21 H 0.2135 0.7298 0.7412
H22 H 0.2273 0.0788 0.5730
H23 H 0.2409 0.7052 0.9277
H24 H 0.2509 0.1149 0.9440
H25 H 0.2555 0.1614 0.1320
H26 H 0.2812 0.5988 0.4416
H27 H 0.2873 0.2491 0.8294
H28 H 0.2902 0.6577 0.6212
H29 H 0.2921 0.2348 0.5096
H30 H 0.3002 0.5502 0.9554
H31 H 0.3578 0.0919 0.2781
H32 H 0.3670 0.5613 0.2430
H33 H 0.3695 0.5948 0.1344
H34 H 0.3869 0.1188 0.7925
H35 H 0.3977 0.6569 0.8547
H36 H 0.3982 0.7072 0.7536
H37 H 0.4001 0.0621 0.6440
H38 H 0.4088 0.0231 0.0399
H39 H 0.4129 0.1089 0.4533
H40 H 0.4269 0.2449 0.7131
H41 H 0.4314 0.1682 0.9422
H42 H 0.4335 0.0343 0.8586
H43 H 0.4331 0.1992 0.6096
H44 H 0.4500 0.6384 0.5675
H45 H 0.4666 0.6165 0.2097
H46 H 0.4984 0.0064 0.6089
H47 H 0.4981 0.7101 0.3598
H48 H 0.4991 0.2237 0.8692
Pt1 Pt 0.1744 0.5153 0.8057
Pt2 Pt 0.3290 0.0048 0.2055
C1 C 0.0106 0.1602 0.6584
C2 C 0.0718 0.1263 0.7354
C3 C 0.1158 0.6690 0.2702
C4 C 0.1394 0.6641 0.0162
C5 C 0.1390 0.7368 0.7519
C6 C 0.1559 0.5057 0.4810
C7 C 0.1647 0.7046 0.9319
C8 C 0.2672 0.1832 0.4668
C9 C 0.4126 0.5691 0.1898
C10 C 0.4427 0.6726 0.8028
C11 C 0.4513 0.0952 0.8281
C12 C 0.4558 0.0159 0.6639
C13 C 0.4748 0.2290 0.6638
C14 C 0.4856 0.1602 0.8966
# - formation energy (eV per atom) = -0.140
# - magnetization (μB/atom) = 0.000